Ca5Nb5O17 | PBE | optimized geometry

```
Ca5Nb5O17
1.0
7.847 0.000 0.000
0.000 5.548 0.000
-3.964 0.000 32.638
Ca Nb O
20 20 68
Direct
0.136 0.017 0.290 Ca
0.136 0.483 0.790 Ca
0.200 0.003 0.903 Ca
0.200 0.497 0.403 Ca
0.245 0.007 0.492 Ca
0.245 0.493 0.992 Ca
0.291 0.001 0.082 Ca
0.291 0.499 0.582 Ca
0.363 0.589 0.223 Ca
0.363 0.911 0.723 Ca
0.637 0.089 0.277 Ca
0.637 0.411 0.777 Ca
0.709 0.501 0.418 Ca
0.709 0.999 0.918 Ca
0.755 0.507 0.008 Ca
0.755 0.993 0.508 Ca
0.800 0.503 0.597 Ca
0.800 0.997 0.097 Ca
0.864 0.517 0.210 Ca
0.864 0.983 0.710 Ca
0.000 0.000 0.000 Nb
0.000 0.500 0.500 Nb
0.043 0.506 0.092 Nb
0.043 0.994 0.592 Nb
0.095 0.031 0.178 Nb
0.095 0.469 0.678 Nb
0.414 0.527 0.323 Nb
0.414 0.973 0.823 Nb
0.451 0.006 0.409 Nb
0.451 0.494 0.909 Nb
0.500 0.000 0.000 Nb
0.500 0.500 0.500 Nb
0.549 0.506 0.091 Nb
0.549 0.994 0.591 Nb
0.586 0.027 0.177 Nb
0.586 0.473 0.677 Nb
0.905 0.531 0.322 Nb
0.905 0.969 0.822 Nb
0.957 0.006 0.408 Nb
0.957 0.494 0.908 Nb
0.010 0.702 0.136 O
0.010 0.798 0.636 O
0.016 0.206 0.948 O
0.016 0.294 0.448 O
0.059 0.203 0.534 O
0.059 0.297 0.034 O
0.085 0.182 0.117 O
0.085 0.318 0.617 O
0.091 0.676 0.725 O
0.091 0.824 0.225 O
0.138 0.176 0.703 O
0.138 0.324 0.203 O
0.164 0.594 0.330 O
0.164 0.906 0.830 O
0.210 0.592 0.921 O
0.210 0.908 0.421 O
0.252 0.586 0.505 O
0.252 0.914 0.005 O
0.295 0.568 0.090 O
0.295 0.932 0.590 O
0.335 0.575 0.670 O
0.335 0.925 0.170 O
0.362 0.198 0.780 O
0.362 0.302 0.280 O
0.373 0.205 0.365 O
0.373 0.295 0.865 O
0.423 0.704 0.789 O
0.423 0.796 0.289 O
0.432 0.205 0.949 O
0.432 0.295 0.449 O
0.468 0.685 0.382 O
0.468 0.815 0.882 O
0.475 0.203 0.534 O
0.475 0.297 0.034 O
0.525 0.703 0.966 O
0.525 0.797 0.466 O
0.532 0.185 0.118 O
0.532 0.315 0.618 O
0.568 0.705 0.551 O
0.568 0.795 0.051 O
0.577 0.204 0.711 O
0.577 0.296 0.211 O
0.627 0.705 0.135 O
0.627 0.795 0.635 O
0.638 0.698 0.720 O
0.638 0.802 0.220 O
0.665 0.075 0.830 O
0.665 0.425 0.330 O
0.705 0.068 0.410 O
0.705 0.432 0.910 O
0.748 0.086 0.995 O
0.748 0.414 0.495 O
0.790 0.092 0.579 O
0.790 0.408 0.079 O
0.836 0.094 0.170 O
0.836 0.406 0.670 O
0.862 0.676 0.797 O
0.862 0.824 0.297 O
0.909 0.176 0.775 O
0.909 0.324 0.275 O
0.915 0.682 0.383 O
0.915 0.818 0.883 O
0.941 0.703 0.966 O
0.941 0.797 0.466 O
0.984 0.706 0.552 O
0.984 0.794 0.052 O
0.990 0.202 0.364 O
0.990 0.298 0.864 O
```

Calculated values
energy = -8.199 eV per atom
space-group type = P2_1/c, No. 14
V = 13.15 A^3/atom



Cs2CuAuCl6 | PBE | optimized geometry

```
Cs2CuAuCl6
1.0
0.000 5.091 5.091
5.091 0.000 5.091
5.091 5.091 0.000
Cs Cu Au Cl
2 1 1 6
Direct
0.250 0.250 0.250 Cs
0.750 0.750 0.750 Cs
0.000 0.000 0.000 Cu
0.500 0.500 0.500 Au
0.243 0.243 0.757 Cl
0.243 0.757 0.243 Cl
0.243 0.757 0.757 Cl
0.757 0.243 0.243 Cl
0.757 0.243 0.757 Cl
0.757 0.757 0.243 Cl
```

Calculated values
energy = -3.051 eV per atom
space-group type = Fm-3m, No. 225
V = 26.39 A^3/atom



Zr2N2O | PBE | optimized geometry

```
Zr2N2O
1.0
8.869 0.000 0.000
-2.938 8.372 0.000
-2.949 -4.184 7.250
Zr N O
16 16 8
Direct
0.000 0.000 0.000 Zr
0.012 0.505 0.502 Zr
0.054 0.729 0.257 Zr
0.222 0.186 0.476 Zr
0.246 0.468 0.206 Zr
0.268 0.978 0.719 Zr
0.301 0.765 0.975 Zr
0.484 0.232 0.190 Zr
0.500 0.426 0.934 Zr
0.511 0.942 0.431 Zr
0.538 0.714 0.751 Zr
0.722 0.686 0.469 Zr
0.749 0.469 0.709 Zr
0.770 0.982 0.237 Zr
0.795 0.259 0.969 Zr
0.967 0.216 0.684 Zr
0.019 0.464 0.254 N
0.031 0.230 0.950 N
0.225 0.210 0.733 N
0.245 0.695 0.169 N
0.291 0.732 0.710 N
0.301 0.979 0.493 N
0.486 0.441 0.674 N
0.496 0.487 0.186 N
0.529 0.014 0.227 N
0.531 0.197 0.958 N
0.714 0.203 0.687 N
0.727 0.427 0.448 N
0.770 0.936 0.458 N
0.804 0.747 0.754 N
0.982 0.924 0.203 N
0.995 0.245 0.449 N
0.032 0.510 0.769 O
0.212 0.961 0.950 O
0.273 0.244 0.265 O
0.485 0.709 0.493 O
0.521 0.701 0.991 O
0.743 0.004 0.980 O
0.791 0.516 0.992 O
0.985 0.747 0.483 O
```

Calculated values
energy = -9.798 eV per atom
space-group type = P1, No. 1
V = 13.46 A^3/atom



Mg2Au | PBE | optimized geometry

```
Mg2Au
1.0
6.003 0.000 0.000
0.000 4.574 0.000
0.000 0.000 8.478
Mg Au
8 4
Direct
0.038 0.250 0.207 Mg
0.180 0.250 0.563 Mg
0.320 0.750 0.063 Mg
0.462 0.750 0.707 Mg
0.538 0.250 0.293 Mg
0.680 0.250 0.937 Mg
0.820 0.750 0.437 Mg
0.962 0.750 0.793 Mg
0.221 0.250 0.888 Au
0.279 0.750 0.388 Au
0.721 0.250 0.612 Au
0.779 0.750 0.112 Au
```

Calculated values
energy = -2.660 eV per atom
space-group type = Pnma, No. 62
V = 19.40 A^3/atom



RbSF5 | PBE | optimized geometry

```
RbSF5
1.0
10.205 0.000 0.000
0.000 6.259 0.000
0.000 0.000 7.865
Rb S F
4 4 20
Direct
0.155 0.250 0.158 Rb
0.345 0.750 0.658 Rb
0.655 0.250 0.342 Rb
0.845 0.750 0.842 Rb
0.097 0.250 0.659 S
0.403 0.750 0.159 S
0.597 0.250 0.841 S
0.903 0.750 0.341 S
0.069 0.048 0.816 F
0.069 0.452 0.816 F
0.150 0.052 0.514 F
0.150 0.448 0.514 F
0.247 0.250 0.728 F
0.253 0.750 0.228 F
0.350 0.552 0.014 F
0.350 0.948 0.014 F
0.431 0.548 0.316 F
0.431 0.952 0.316 F
0.569 0.048 0.684 F
0.569 0.452 0.684 F
0.650 0.052 0.986 F
0.650 0.448 0.986 F
0.747 0.250 0.772 F
0.753 0.750 0.272 F
0.850 0.552 0.486 F
0.850 0.948 0.486 F
0.931 0.548 0.184 F
0.931 0.952 0.184 F
```

Calculated values
energy = -4.090 eV per atom
space-group type = Pnma, No. 62
V = 17.94 A^3/atom



ZnSn3 | PBE | optimized geometry

```
ZnSn3
1.0
-2.214 2.214 5.205
2.214 -2.214 5.205
2.214 2.214 -5.205
Zn Sn
1 3
Direct
0.000 0.000 0.000 Zn
0.250 0.750 0.500 Sn
0.500 0.500 0.000 Sn
0.750 0.250 0.500 Sn
```

Calculated values
energy = -3.199 eV per atom
space-group type = I4/mmm, No. 139
V = 25.50 A^3/atom



F | PBE | optimized geometry

```
F
1.0
2.635 -1.629 0.000
2.635 1.629 0.000
-0.929 0.000 5.450
F
4
Direct
0.219 0.266 0.207 F
0.266 0.219 0.707 F
0.734 0.781 0.293 F
0.781 0.734 0.793 F
```

Calculated values
energy = -1.634 eV per atom
excess energy over the best structure of this formula in the dataset = 27 kJ/mol of formula units
space-group type = C2/c, No. 15
V = 11.70 A^3/atom



AcMgCd2 | PBE | optimized geometry

```
AcMgCd2
1.0
0.000 3.836 3.836
3.836 0.000 3.836
3.836 3.836 0.000
Ac Mg Cd
1 1 2
Direct
0.000 0.000 0.000 Ac
0.500 0.500 0.500 Mg
0.250 0.250 0.250 Cd
0.750 0.750 0.750 Cd
```

Calculated values
energy = -2.156 eV per atom
space-group type = Fm-3m, No. 225
V = 28.23 A^3/atom



LiBi2P3O11 | PBE | optimized geometry

```
LiBi2P3O11
1.0
6.309 -4.740 0.000
6.309 4.740 0.000
-4.659 0.000 8.433
Li Bi P O
2 4 6 22
Direct
0.248 0.248 0.231 Li
0.752 0.752 0.769 Li
0.146 0.079 0.803 Bi
0.387 0.390 0.695 Bi
0.610 0.613 0.305 Bi
0.921 0.854 0.197 Bi
0.214 0.786 0.000 P
0.317 0.683 0.500 P
0.589 0.179 0.015 P
0.713 0.058 0.519 P
0.821 0.411 0.985 P
0.942 0.287 0.481 P
0.005 0.777 0.974 O
0.026 0.347 0.996 O
0.110 0.265 0.629 O
0.187 0.729 0.349 O
0.223 0.995 0.026 O
0.258 0.655 0.849 O
0.271 0.813 0.651 O
0.306 0.474 0.470 O
0.345 0.742 0.151 O
0.423 0.205 0.868 O
0.513 0.121 0.516 O
0.526 0.694 0.530 O
0.545 0.304 0.168 O
0.653 0.974 0.004 O
0.696 0.455 0.832 O
0.735 0.890 0.371 O
0.759 0.241 0.000 O
0.775 0.225 0.500 O
0.795 0.577 0.132 O
0.843 0.014 0.672 O
0.879 0.487 0.484 O
0.986 0.157 0.328 O
```

Calculated values
energy = -6.703 eV per atom
space-group type = C2, No. 5
V = 14.84 A^3/atom



La2Si2O5 | PBE | optimized geometry

```
La2Si2O5
1.0
3.948 0.000 0.000
0.000 3.948 0.000
0.000 0.000 7.341
La Si O
2 2 5
Direct
0.000 0.000 0.000 La
0.000 0.000 0.500 La
0.500 0.500 0.250 Si
0.500 0.500 0.750 Si
0.000 0.500 0.241 O
0.000 0.500 0.759 O
0.500 0.000 0.241 O
0.500 0.000 0.759 O
0.500 0.500 0.000 O
```

Calculated values
energy = -7.371 eV per atom
space-group type = P4/mmm, No. 123
V = 12.71 A^3/atom



Ba2Ca2Tl2Cu3O10 | PBE | optimized geometry

```
Ba2Ca2Tl2Cu3O10
1.0
3.884 0.000 0.000
0.004 3.899 0.000
1.886 1.906 18.569
Ba Ca Tl Cu O
2 2 2 3 10
Direct
0.000 0.000 0.000 Ba
0.344 0.303 0.436 Ba
0.105 0.079 0.807 Ca
0.245 0.191 0.629 Ca
0.444 0.410 0.155 Tl
0.898 0.851 0.280 Tl
0.554 0.545 0.890 Cu
0.687 0.625 0.717 Cu
0.793 0.740 0.546 Cu
0.051 0.543 0.895 O
0.185 0.618 0.725 O
0.292 0.736 0.549 O
0.403 0.486 0.267 O
0.481 0.491 0.044 O
0.557 0.046 0.887 O
0.698 0.127 0.711 O
0.796 0.243 0.540 O
0.861 0.833 0.391 O
0.940 0.032 0.168 O
```

Calculated values
energy = -5.480 eV per atom
excess energy over the best structure of this formula in the dataset = 19 kJ/mol of formula units
space-group type = P1, No. 1
V = 14.80 A^3/atom



Mg14CoSi | PBE | optimized geometry

```
Mg14CoSi
1.0
6.183 0.000 0.000
-3.091 5.354 0.000
0.000 0.000 10.129
Mg Co Si
14 1 1
Direct
0.000 0.000 0.250 Mg
0.000 0.000 0.750 Mg
0.013 0.506 0.242 Mg
0.013 0.506 0.758 Mg
0.331 0.166 0.000 Mg
0.334 0.167 0.500 Mg
0.494 0.506 0.242 Mg
0.494 0.506 0.758 Mg
0.494 0.987 0.242 Mg
0.494 0.987 0.758 Mg
0.833 0.167 0.500 Mg
0.833 0.666 0.500 Mg
0.834 0.166 0.000 Mg
0.834 0.669 0.000 Mg
0.333 0.667 0.000 Co
0.333 0.667 0.500 Si
```

Calculated values
energy = -2.103 eV per atom
excess energy over the best structure of this formula in the dataset = 15 kJ/mol of formula units
space-group type = P-6m2, No. 187
V = 20.96 A^3/atom



CeBr3O7 | PBE | optimized geometry

```
CeBr3O7
1.0
6.695 0.000 0.000
1.550 8.110 0.000
1.512 2.413 9.271
Ce Br O
2 6 14
Direct
0.168 0.110 0.196 Ce
0.832 0.890 0.804 Ce
0.139 0.447 0.781 Br
0.232 0.139 0.522 Br
0.269 0.791 0.978 Br
0.731 0.209 0.022 Br
0.768 0.861 0.478 Br
0.861 0.553 0.219 Br
0.002 0.185 0.971 O
0.043 0.040 0.658 O
0.095 0.652 0.814 O
0.321 0.671 0.412 O
0.327 0.674 0.537 O
0.349 0.884 0.095 O
0.406 0.219 0.161 O
0.594 0.781 0.839 O
0.651 0.116 0.905 O
0.673 0.326 0.463 O
0.679 0.329 0.588 O
0.905 0.348 0.186 O
0.957 0.960 0.342 O
0.998 0.815 0.029 O
```

Calculated values
energy = -4.764 eV per atom
excess energy over the best structure of this formula in the dataset = 17 kJ/mol of formula units
space-group type = P-1, No. 2
V = 22.88 A^3/atom